No. 1
## YAg3Cl6 (r2SCAN)

Data for a geometry-optimized YAg3Cl6 structure.

Properties
ΔH_f (0 K)   -1.343 eV per atom
Energy   -404.183 eV for the cell shown

Lattice parameters (Å, degrees): 6.8843 6.8843 18.4575 90.00 90.00 120.00
Space group R-3 (No. 148, hexagonal axes)
One atom of each set of equivalent atoms:
Y: 0.0000 0.0000 0.0000
Ag: 0.0000 0.0000 0.1974
Ag: 0.0000 0.0000 0.5000
Cl: 0.0156 0.6497 0.7516

***

No. 2
## Y2MgGa2 (r2SCAN)

Data for a geometry-optimized Y2MgGa2 structure.

Properties
ΔH_f (0 K)   -0.634 eV per atom
Energy   -141.707 eV for the cell shown

Lattice parameters (Å, degrees): 7.414 7.414 4.236 90.00 90.00 90.00
Space group P4/mbm (No. 127)
One atom of each set of equivalent atoms:
Y: 0.174 0.326 0.000
Mg: 0.000 0.000 0.500
Ga: 0.123 0.623 0.500

***

No. 3
## ZnTe (r2SCAN)

Data for a geometry-optimized ZnTe structure.

Properties
ΔH_f (0 K)   -0.559 eV per atom
Energy   -70.893 eV for the cell shown

Lattice parameters (Å, degrees): 4.3080 4.3080 7.1087 90.00 90.00 120.00
Space group P6_3mc (No. 186)
One atom of each set of equivalent atoms:
Zn: 0.3333 0.6667 0.0000
Te: 0.3333 0.6667 0.3729

***

No. 4
## BiB3O6 (r2SCAN)

Data for a geometry-optimized BiB3O6 structure.

Properties
ΔH_f (0 K)   -2.319 eV per atom
Energy   -558.283 eV for the cell shown

Lattice parameters (Å, degrees): 4.414 6.706 13.999 90.00 95.38 90.00
Space group P2_1/c (No. 14)
One atom of each set of equivalent atoms:
Bi: 0.226 0.199 0.071
B: 0.123 0.081 0.360
B: 0.172 0.688 0.747
B: 0.344 0.741 0.087
O: 0.064 0.183 0.267
O: 0.159 0.563 0.093
O: 0.236 0.619 0.840
O: 0.236 0.631 0.504
O: 0.340 0.190 0.428
O: 0.343 0.636 0.675